[1]
A plane-wave DFT calculation with PBE was carried out for an optimized crystal structure of Ag2PO2.

extended XYZ file:
```
20
Lattice="7.625 0.000 0.000 3.813 5.304 0.000 3.813 0.000 9.329" Properties=species:S:1:pos:R:3 pbc="T T T"
O 1.333 1.229 0.850
O 10.105 1.229 8.478
O 8.199 3.881 5.514
O 8.958 4.075 8.478
O 10.105 4.075 0.850
O 8.199 1.423 3.814
O 10.864 1.423 5.514
O 10.864 3.881 3.814
Ag 7.897 1.364 6.329
Ag 5.447 4.016 1.665
Ag 11.166 3.940 6.329
Ag 5.991 1.288 1.665
Ag 3.541 1.364 3.000
Ag 13.616 4.016 7.664
Ag 7.897 3.940 3.000
Ag 5.447 1.288 7.664
P 10.485 3.978 2.332
P 8.578 3.978 6.996
P 10.485 1.326 6.996
P 8.578 1.326 2.332
```


[2]
A plane-wave DFT calculation with PBE was carried out for an optimized crystal structure of Ba2NCl.

extended XYZ file:
```
4
Lattice="0.555 2.079 -3.557 0.555 -2.079 -3.557 -7.226 0.000 -3.557" Properties=species:S:1:pos:R:3 pbc="T T T"
Ba -4.162 0.000 -7.937
Ba -1.953 0.000 -2.734
N -3.058 0.000 -5.336
Cl 0.000 0.000 0.000
```


[3]
A plane-wave DFT calculation with PBE was carried out for an optimized crystal structure of PmDyZn2.

extended XYZ file:
```
4
Lattice="-2.444 0.190 4.485 -4.501 -2.358 0.560 -0.345 -4.193 2.902" Properties=species:S:1:pos:R:3 pbc="T T T"
Zn -1.822 -1.590 1.987
Zn -5.467 -4.771 5.961
Dy -3.645 -3.181 3.974
Pm 0.000 0.000 0.000
```


[4]
A plane-wave DFT calculation with PBE was carried out for an optimized crystal structure of AsRu.

extended XYZ file:
```
8
Lattice="-2.379 -2.362 0.043 0.656 -0.765 -5.677 4.469 -4.480 1.120" Properties=species:S:1:pos:R:3 pbc="T T T"
Ru -0.219 -3.448 -5.407
Ru 2.965 -4.159 0.893
Ru 2.879 -4.127 -2.049
Ru -0.133 -3.480 -2.465
As 1.282 -4.932 -3.893
As 1.464 -2.676 -0.621
As 2.579 -6.179 -0.647
As 0.167 -1.429 -3.867
```


[5]
A plane-wave DFT calculation with PBE was carried out for an optimized crystal structure of Na3Sc2Zn2PS5O24.

extended XYZ file:
```
111
Lattice="8.827 0.007 0.028 -4.407 7.653 -0.019 0.071 -0.016 22.881" Properties=species:S:1:pos:R:3 pbc="T T T"
O -0.990 6.512 22.146
O 7.860 1.321 13.473
O 6.218 2.770 14.560
O -1.587 5.263 17.309
O 0.723 6.717 8.343
O 0.940 6.407 17.281
O 1.130 1.375 18.352
O 7.194 0.185 18.375
O -2.707 7.484 20.807
O -0.651 3.583 5.855
O -1.739 5.325 10.726
O -0.934 6.438 5.862
O 7.825 1.405 6.941
O 5.411 3.895 9.700
O 0.704 1.518 9.381
O -0.598 1.506 20.821
O 1.840 5.296 22.242
O 6.090 2.357 5.623
O 5.447 3.936 3.165
O 5.064 4.148 0.696
O -0.913 3.750 13.193
O -2.613 7.432 4.498
O 5.114 0.934 3.122
O 3.435 3.968 14.552
O 3.512 6.289 20.854
O 6.182 2.357 12.160
O 0.749 1.642 15.949
O 2.809 7.482 9.371
O 0.724 3.583 17.328
O 0.726 6.595 1.775
O 6.139 2.710 21.130
O 0.716 3.476 10.749
O -3.415 6.302 9.354
O 1.685 4.926 13.222
O -0.674 1.614 4.494
O 1.817 4.875 19.806
O 1.650 5.272 5.879
O -1.729 4.871 8.304
O 7.194 0.172 2.052
O 3.758 4.151 12.149
O -0.553 6.567 13.212
O 2.710 7.427 15.832
O 0.968 1.357 2.045
O 3.756 6.148 13.451
O 3.784 0.926 14.635
O -0.992 3.683 19.748
O 5.448 1.134 0.722
O 2.695 2.754 3.108
O -0.647 6.758 19.713
O 1.088 3.692 8.318
O 2.676 2.336 0.705
O -3.256 6.238 15.954
O 3.432 1.170 12.145
O 3.457 1.213 5.594
O 1.133 6.538 10.774
O 3.342 6.208 4.479
O 1.762 0.196 6.925
O 2.819 2.356 17.037
O 5.137 1.040 9.688
O 5.019 6.191 2.048
O -0.607 3.448 22.174
O 1.032 3.793 1.775
O 5.173 6.038 18.386
O 5.374 1.239 17.045
O 3.800 1.037 21.133
O 2.789 2.729 9.670
O 3.750 4.069 5.608
O 5.130 4.073 17.040
O -1.569 4.939 1.780
O 1.603 0.150 13.494
O 3.508 3.874 21.127
O 3.738 6.068 6.899
Zn 0.133 5.104 18.686
Zn -4.321 7.637 14.866
Zn -0.036 5.119 11.816
Zn -0.137 5.093 0.381
Zn 0.017 5.095 7.245
Zn -4.317 7.634 3.416
Na 0.065 0.026 0.044
Na -1.102 7.606 17.157
Na 4.440 2.551 7.638
Na 0.153 0.000 11.495
Na 1.644 7.391 13.401
Na -0.101 5.091 3.820
Na 2.835 5.355 1.901
Na 4.530 2.573 19.092
Na 0.056 5.040 15.249
S 5.719 0.306 1.925
S 1.318 2.248 17.158
S -1.226 7.337 20.951
S 3.112 5.419 5.714
S -2.542 5.089 9.513
S 3.161 4.787 13.350
S 5.764 5.401 17.176
S 1.828 2.542 1.912
S -1.245 2.235 5.701
S 1.327 7.329 9.530
S 7.061 2.570 13.349
S 2.634 5.085 21.002
S -1.206 2.871 20.955
S -1.791 7.636 5.701
S 1.303 2.887 9.532
Sc 4.514 2.583 22.491
Sc 4.384 2.508 11.040
Sc 4.490 2.591 4.245
Sc 8.804 0.003 19.503
Sc 0.038 -0.001 8.043
Sc 4.496 2.509 15.669
P 3.123 0.269 13.365
P 1.891 7.616 17.119
P 5.738 4.827 1.930
```


[6]
A plane-wave DFT calculation with PBE was carried out for an optimized crystal structure of Sr2CaI6.

extended XYZ file:
```
36
Lattice="8.060 0.000 0.000 0.000 8.060 0.000 0.000 0.000 23.953" Properties=species:S:1:pos:R:3 pbc="T T T"
Ca 0.000 4.030 11.977
Ca 4.030 4.030 0.000
Ca 0.000 0.000 0.000
Ca 4.030 0.000 11.977
I 1.824 2.102 5.983
I 2.424 2.329 2.011
I 1.715 5.620 9.927
I 5.854 1.927 5.983
I 6.344 2.439 9.927
I 6.132 5.854 17.970
I 5.635 5.730 2.011
I 5.745 6.469 9.927
I 1.927 2.205 17.970
I 6.235 5.957 5.983
I 1.605 6.359 2.011
I 6.469 2.315 14.026
I 5.620 6.344 14.026
I 2.205 6.132 5.983
I 5.957 1.824 17.970
I 5.730 2.424 21.942
I 2.315 1.591 9.927
I 6.454 1.700 2.011
I 6.359 6.454 21.942
I 2.329 5.635 21.942
I 1.700 1.605 21.942
I 2.439 1.715 14.026
I 1.591 5.745 14.026
I 2.102 6.235 17.970
Sr 4.030 0.000 20.003
Sr 0.000 0.000 15.987
Sr 4.030 4.030 15.987
Sr 0.000 4.030 3.950
Sr 4.030 0.000 3.950
Sr 0.000 0.000 7.966
Sr 0.000 4.030 20.003
Sr 4.030 4.030 7.966
```

Computed properties:
- E above lowest polymorph (meV/atom) = 60


[7]
A plane-wave DFT calculation with PBE was carried out for an optimized crystal structure of GdTlPd.

extended XYZ file:
```
9
Lattice="3.960 -6.859 0.000 3.960 6.859 0.000 0.000 0.000 3.850" Properties=species:S:1:pos:R:3 pbc="T T T"
Gd 2.367 4.099 1.925
Gd 3.187 0.000 1.925
Gd 2.367 -4.099 1.925
Tl 1.053 -1.825 0.000
Tl 1.053 1.825 0.000
Tl 5.814 0.000 0.000
Pd 0.000 0.000 1.925
Pd 3.960 -2.286 0.000
Pd 3.960 2.286 0.000
```


[8]
A plane-wave DFT calculation with PBE was carried out for an optimized crystal structure of KMnN.

extended XYZ file:
```
3
Lattice="6.083 0.000 0.000 -3.042 3.044 0.000 0.000 0.000 3.625" Properties=species:S:1:pos:R:3 pbc="T T T"
Mn 3.042 0.677 0.000
K 0.000 0.676 1.813
N 3.042 0.676 1.813
```

Computed properties:
- E above lowest polymorph (meV/atom) = 207


| no. | calculated formation energy (eV/atom) |
| --- | --- |
| 1 | -0.5854 |
| 2 | -1.4542 |
| 3 | -0.3320 |
| 4 | -0.2621 |
| 5 | -2.3566 |
| 6 | -1.8585 |
| 7 | -0.6608 |
| 8 | 0.0174 |